one) Compound: Na3Ti2Si2PO12
Source: the Materials Project
Functional: PBE-GGA
Structure: relaxed

Computed properties:
Total magnetization in μB per cell: 0.00

Unit cell a=8.878 b=8.878 c=22.290 alpha=89.93 beta=90.07 gamma=119.92
Element x y z (fractional)
O1 0.362 0.853 0.576
Ti1 0.673 0.336 0.482
O2 0.506 0.859 0.076
Na1 0.635 0.001 0.250
Na2 0.332 0.032 0.417
O3 0.837 0.820 0.591
O4 0.869 0.499 0.142
Ti2 0.340 0.669 0.815
O5 0.173 0.700 0.474
O6 0.540 0.698 0.974
O7 0.700 0.164 0.029
O8 0.367 0.498 0.362
Ti3 0.664 0.327 0.982
O9 0.171 0.486 0.257
O10 0.835 0.798 0.308
O11 0.474 0.160 0.243
O12 0.840 0.526 0.743
Si1 0.373 0.042 0.583
Na3 0.668 0.333 0.333
O13 0.028 0.840 0.410
Na4 0.999 0.365 0.750
O14 0.135 0.635 0.357
O15 0.496 0.360 0.422
Ti4 0.002 0.011 0.852
Na5 0.033 0.333 0.084
O16 0.973 0.171 0.589
O17 0.506 0.367 0.140
Si2 0.625 0.960 0.416
O18 0.141 0.494 0.576
O19 0.836 0.300 0.529
P1 0.957 0.337 0.584
O20 0.031 0.198 0.191
O21 0.480 0.304 0.743
O22 0.853 0.363 0.925
Na6 0.334 0.665 0.167
O23 0.163 0.693 0.756
Si3 0.375 0.330 0.083
O24 0.970 0.814 0.091
Si4 0.291 0.294 0.749
Na7 0.301 0.334 0.583
P2 0.663 0.043 0.084
O25 0.467 0.168 0.525
O26 0.800 0.835 0.191
O27 0.300 0.827 0.974
O28 0.165 0.200 0.691
Ti5 0.997 0.993 0.649
O29 0.173 0.192 0.409
O30 0.633 0.494 0.640
O31 0.514 0.829 0.757
Ti6 0.668 0.344 0.185
O32 0.698 0.531 0.524
P3 0.624 0.671 0.917
Si5 0.706 0.709 0.249
O33 0.873 0.364 0.640
Na8 0.335 0.666 0.667
P4 0.329 0.376 0.417
O34 0.967 0.160 0.307
O35 0.827 0.306 0.243
O36 0.829 0.027 0.089
O37 0.504 0.153 0.924
O38 0.969 0.794 0.807
Si6 0.042 0.663 0.416
O39 0.168 0.465 0.975
Na9 0.002 0.000 0.000
Ti7 0.322 0.665 0.019
Si7 0.958 0.627 0.083
O40 0.640 0.504 0.922
O41 0.186 0.030 0.591
O42 0.498 0.866 0.358
O43 0.302 0.460 0.474
O44 0.365 0.865 0.857
O45 0.147 0.638 0.076
Si8 0.670 0.625 0.583
O46 0.808 0.827 0.909
O47 0.033 0.831 0.695
Na10 0.667 0.332 0.833
P5 0.290 0.004 0.251
O48 0.847 0.496 0.424
O49 0.180 0.163 0.091
O50 0.502 0.633 0.862
Ti8 0.656 0.332 0.685
Si9 0.040 0.375 0.916
Na11 0.334 0.300 0.917
Ti9 0.989 0.998 0.352
Si10 0.337 0.958 0.916
Na12 0.000 0.998 0.500
Na13 0.968 0.668 0.917
Na14 0.367 0.000 0.750
Na15 0.666 0.699 0.083
Na16 0.000 0.633 0.250
O51 0.206 0.031 0.307
O52 0.303 0.481 0.758
O53 0.169 0.967 0.195
O54 0.493 0.639 0.576
Na17 0.700 0.666 0.417
O55 0.134 0.502 0.858
O56 0.202 0.165 0.808
Ti10 0.335 0.678 0.519
Ti11 0.331 0.660 0.315
O57 0.469 0.302 0.024
O58 0.694 0.173 0.743
O59 0.160 0.972 0.910
O60 0.636 0.127 0.140
O61 0.361 0.507 0.076
O62 0.832 0.533 0.025
O63 0.802 0.969 0.691
O64 0.814 0.971 0.409
O65 0.535 0.832 0.475
Si11 0.004 0.292 0.250
O66 0.307 0.837 0.256
Si12 0.708 0.996 0.750
O67 0.637 0.147 0.425
Na18 0.667 0.967 0.584
O68 0.519 0.697 0.258
O69 0.029 0.186 0.909
Ti12 0.007 0.003 0.149
O70 0.696 0.520 0.243
O71 0.840 0.033 0.807
O72 0.501 0.131 0.642
P6 0.996 0.710 0.751

two) Compound: Na3Ti2Si2PO12
Source: the Materials Project
Functional: PBE-GGA
Structure: relaxed

Computed properties:
Total magnetization in μB per cell: 0.00

Unit cell a=15.444 b=8.900 c=8.894 alpha=90.00 beta=125.09 gamma=90.00
Element x y z (fractional)
O1 0.464 0.828 0.939
O2 0.750 0.172 0.259
Ti1 0.894 0.742 0.934
O3 0.422 0.635 0.255
Na1 0.503 0.881 0.253
O4 0.861 0.653 0.081
O5 0.082 0.140 0.246
O6 0.853 0.422 0.256
Na2 0.310 0.562 0.723
O7 0.353 0.078 0.756
P1 0.502 0.464 0.747
O8 0.563 0.569 0.916
O9 0.651 0.077 0.740
O10 0.750 0.828 0.759
O11 0.082 0.860 0.746
O12 0.151 0.577 0.740
Ti2 0.106 0.252 0.062
O13 0.645 0.855 0.925
O14 0.861 0.347 0.581
O15 0.250 0.328 0.759
O16 0.563 0.431 0.416
O17 0.755 0.685 0.238
Na3 0.245 0.770 0.996
Si1 0.646 0.109 0.244
Si2 0.146 0.609 0.244
Na4 0.810 0.938 0.223
O18 0.361 0.153 0.081
O19 0.651 0.923 0.240
Na5 0.503 0.119 0.753
O20 0.250 0.672 0.259
O21 0.037 0.326 0.561
O22 0.537 0.174 0.061
O23 0.645 0.145 0.425
O24 0.922 0.135 0.255
Ti3 0.606 0.248 0.562
O25 0.537 0.826 0.561
Ti4 0.606 0.752 0.062
Na6 0.810 0.062 0.723
O26 0.353 0.922 0.256
Na7 0.745 0.730 0.496
Si3 0.856 0.606 0.255
Si4 0.646 0.891 0.744
Ti5 0.394 0.758 0.434
O27 0.464 0.172 0.439
Ti6 0.894 0.258 0.434
Na8 0.245 0.230 0.496
Ti7 0.394 0.242 0.934
Si5 0.856 0.394 0.755
O28 0.145 0.355 0.925
O29 0.151 0.423 0.240
O30 0.964 0.672 0.439
P2 0.502 0.536 0.247
O31 0.934 0.059 0.569
O32 0.037 0.674 0.061
Si6 0.356 0.894 0.755
Na9 0.003 0.381 0.253
O33 0.063 0.069 0.916
O34 0.361 0.847 0.581
Ti8 0.106 0.748 0.562
O35 0.255 0.185 0.238
Si7 0.356 0.106 0.255
O36 0.255 0.815 0.738
Na10 0.745 0.270 0.996
O37 0.434 0.441 0.069
Na11 0.310 0.438 0.223
O38 0.422 0.365 0.755
O39 0.922 0.865 0.755
Si8 0.146 0.391 0.744
Na12 0.003 0.619 0.753
P3 0.002 0.036 0.247
O40 0.582 0.640 0.246
O41 0.434 0.559 0.569
O42 0.755 0.315 0.738
O43 0.964 0.328 0.939
P4 0.002 0.964 0.747
O44 0.582 0.360 0.746
O45 0.934 0.941 0.069
O46 0.145 0.645 0.425
O47 0.063 0.931 0.416
O48 0.853 0.578 0.756

Relative energies, kJ/mol of atoms: one) 0.8; two) 0.0.

one) Compound: Na7Zr4Si5PO24
Source: the Materials Project
Functional: PBE-GGA
Structure: relaxed

Computed properties:
Total magnetization in μB per cell: 0.00
Crystal system: triclinic
Symmetry: P1, No. 1

Unit cell a=9.272 b=9.277 c=22.861 alpha=89.91 beta=90.06 gamma=120.05
Element x y z (fractional)
O1 0.854 0.535 0.024
O2 0.181 0.194 0.414
O3 0.637 0.503 0.921
Si1 0.964 0.631 0.082
O4 0.837 0.303 0.530
O5 0.186 0.019 0.587
Na1 0.705 0.669 0.419
O6 0.521 0.831 0.755
Na2 0.669 0.967 0.584
Si2 0.000 0.293 0.247
Na3 0.999 0.365 0.750
O7 0.177 0.972 0.193
O8 0.631 0.141 0.419
Zr1 0.667 0.334 0.685
Zr2 0.666 0.332 0.981
O9 0.828 0.032 0.087
Na4 0.293 0.968 0.080
O10 0.491 0.157 0.920
P1 0.666 0.042 0.085
Na5 0.633 0.632 0.749
Na6 0.001 0.633 0.251
O11 0.028 0.820 0.693
O12 0.969 0.167 0.302
O13 0.507 0.870 0.078
O14 0.353 0.874 0.858
O15 0.130 0.485 0.858
Na7 0.363 0.364 0.248
Si3 0.629 0.963 0.416
Na8 0.637 0.002 0.251
O16 0.484 0.165 0.245
Zr3 0.997 0.002 0.352
O17 0.806 0.816 0.914
Si4 0.372 0.040 0.582
O18 0.639 0.513 0.641
O19 0.477 0.347 0.142
O20 0.179 0.209 0.692
Zr4 0.000 0.999 0.648
O21 0.517 0.680 0.256
O22 0.313 0.832 0.254
Si5 0.333 0.965 0.917
O23 0.832 0.029 0.803
O24 0.832 0.518 0.747
Zr5 0.675 0.332 0.481
Na9 0.345 0.661 0.165
Si6 0.368 0.334 0.083
O25 0.155 0.464 0.974
O26 0.973 0.794 0.809
Si7 0.036 0.370 0.917
Na10 0.686 0.330 0.335
O27 0.206 0.177 0.808
O28 0.148 0.685 0.474
O29 0.842 0.510 0.419
Si8 0.296 0.296 0.751
Si9 0.999 0.704 0.751
O30 0.318 0.483 0.756
O31 0.489 0.127 0.640
O32 0.354 0.853 0.578
O33 0.152 0.650 0.079
O34 0.787 0.970 0.689
O35 0.533 0.682 0.969
O36 0.345 0.498 0.081
Na11 0.329 0.293 0.919
O37 0.834 0.813 0.586
O38 0.125 0.649 0.357
Na12 0.368 0.003 0.751
O39 0.209 0.031 0.308
O40 0.642 0.121 0.141
P2 0.626 0.665 0.916
Zr6 0.998 0.994 0.147
O41 0.497 0.644 0.579
O42 0.875 0.514 0.140
O43 0.481 0.312 0.746
O44 0.181 0.165 0.085
Si10 0.964 0.333 0.585
O45 0.149 0.498 0.579
O46 0.029 0.844 0.415
Zr7 0.668 0.341 0.185
O47 0.168 0.686 0.754
P3 0.334 0.373 0.417
Na13 0.330 0.030 0.417
O48 0.167 0.477 0.254
Zr8 0.332 0.671 0.815
Na14 0.301 0.332 0.584
O49 0.350 0.478 0.362
Zr9 0.327 0.667 0.315
O50 0.496 0.361 0.420
O51 0.027 0.189 0.914
O52 0.883 0.365 0.645
O53 0.799 0.833 0.197
Zr10 0.999 0.003 0.853
O54 0.692 0.537 0.525
O55 0.460 0.157 0.525
Na15 0.668 0.313 0.834
O56 0.690 0.522 0.245
O57 0.538 0.848 0.475
Si11 0.666 0.628 0.583
O58 0.315 0.850 0.975
Na16 0.973 0.670 0.918
O59 0.991 0.820 0.085
O60 0.821 0.788 0.311
O61 0.689 0.158 0.032
O62 0.982 0.166 0.587
O63 0.857 0.365 0.920
Si12 0.033 0.668 0.416
Si13 0.705 0.999 0.748
O64 0.030 0.212 0.188
Zr11 0.332 0.669 0.518
Na17 0.039 0.337 0.086
Na18 0.032 0.701 0.583
O65 0.515 0.867 0.358
Na19 0.982 0.990 0.000
Zr12 0.334 0.665 0.019
Si14 0.705 0.706 0.252
Na20 0.995 0.008 0.499
Na21 0.335 0.666 0.667
O66 0.684 0.165 0.746
Si15 0.296 0.001 0.251
O67 0.462 0.309 0.026
O68 0.157 0.971 0.915
O69 0.525 0.645 0.859
O70 0.833 0.313 0.245
O71 0.812 0.975 0.414
O72 0.318 0.459 0.473

two) Compound: Na7Zr4Si5PO24
Source: the Materials Project
Functional: PBE-GGA
Structure: relaxed

Computed properties:
Total magnetization in μB per cell: 0.00
Crystal system: triclinic
Symmetry: P1, No. 1

Unit cell a=9.233 b=9.240 c=9.271 alpha=60.84 beta=60.28 gamma=60.18
Element x y z (fractional)
Na1 0.744 0.126 0.754
Na2 0.461 0.683 0.563
O1 0.784 0.415 0.225
O2 0.442 0.213 0.752
O3 0.981 0.771 0.607
Na3 0.991 0.005 0.997
P1 0.450 0.038 0.759
O4 0.382 0.010 0.407
O5 0.931 0.069 0.283
Zr1 0.349 0.356 0.941
O6 0.002 0.231 0.406
O7 0.063 0.930 0.724
O8 0.137 0.262 0.064
Si1 0.035 0.750 0.763
O9 0.272 0.064 0.755
Si2 0.249 0.535 0.260
O10 0.919 0.276 0.738
O11 0.558 0.780 0.243
Si3 0.553 0.965 0.233
Si4 0.964 0.245 0.243
Si5 0.753 0.464 0.737
O12 0.523 0.124 0.055
O13 0.224 0.373 0.446
Zr2 0.149 0.149 0.555
O14 0.086 0.724 0.266
O15 0.252 0.482 0.113
Na4 0.121 0.398 0.733
O16 0.783 0.620 0.545
Na5 0.893 0.606 0.246
Zr3 0.854 0.842 0.443
O17 0.483 0.887 0.927
O18 0.733 0.941 0.249
O19 0.739 0.528 0.881
Na6 0.579 0.253 0.341
Na7 0.259 0.895 0.212
O20 0.607 0.994 0.593
O21 0.431 0.562 0.212
O22 0.575 0.434 0.775
O23 0.872 0.724 0.949
O24 0.218 0.579 0.766
Zr4 0.654 0.641 0.062

Relative energies, kJ/mol of atoms: one) 0.7; two) 0.0.